Compound: SmBeF4
Source: the Materials Project
Functional: PBE
Structure: optimized geometry

The structure belongs to space group Pna2_1 (No. 33); the cell edges are 8.2230, 6.8478 and 5.5833 Å and the angles 90.00°, 90.00° and 90.00°. The distinct sites, in fractional coordinates, are Sm at (0.1357, 0.1027, 0.0000), Be at (0.0476, 0.6292, 0.0759), F at (0.0813, 0.7716, 0.8601), F at (0.1029, 0.7438, 0.3171), F at (0.1370, 0.4118, 0.5940) and F at (0.1505, 0.4401, 0.0801).

=====

Compound: BeTl2F4
Source: the Materials Project
Functional: PBE
Structure: optimized geometry

The structure belongs to space group Pnma (No. 62); the cell edges are 7.7997, 5.9122 and 10.7123 Å and the angles 90.00°, 90.00° and 90.00°. The distinct sites, in fractional coordinates, are Be at (0.2297, 0.2500, 0.0771), Tl at (0.0094, 0.7500, 0.1951), Tl at (0.1683, 0.2500, 0.4170), F at (0.0293, 0.2500, 0.0821), F at (0.1967, 0.5314, 0.6410) and F at (0.2052, 0.7500, 0.4366).

=====

| no. | E (MP2020) (eV per atom) | formation energy from the elements (eV/atom) |
| --- | --- | --- |
| 1 | -6.181 | -3.4949 |
| 2 | -5.009 | -2.7054 |